No. 1
A relaxed MgNi2Mo2O8 crystal. Source: the Materials Project database, functional PBE+U.

Lattice parameters (Å, degrees): 4.983 5.110 5.669 87.12 87.08 89.29
Fractional positions:
1 Mg 0.000 0.000 0.000
2 Ni 0.945 0.811 0.608
3 Ni 0.987 0.327 0.373
4 Mo 0.459 0.344 0.830
5 Mo 0.485 0.797 0.175
6 O 0.166 0.169 0.676
7 O 0.226 0.662 0.387
8 O 0.234 0.664 0.906
9 O 0.287 0.168 0.145
10 O 0.659 0.980 0.856
11 O 0.706 0.493 0.098
12 O 0.710 0.480 0.611
13 O 0.783 0.974 0.321

Values from the calculation:
Final energy (eV/atom): -5.978
Symmetry: P1 (1)
Energy above the lowest structure with this stoichiometry (meV per atom): 194
Energy of formation from the pure elements (kcal/mol of atoms): -35.9

=====

No. 2
A relaxed Na4FeO5 crystal. Source: the Materials Project database, functional PBE+U.

Lattice parameters (Å, degrees): 4.872 7.254 14.508 90.00 90.00 90.00
Fractional positions:
1 Na 0.000 0.000 0.000
2 Na 0.000 0.000 0.500
3 Na 0.000 0.194 0.206
4 Na 0.000 0.194 0.706
5 Na 0.000 0.390 0.402
6 Na 0.000 0.390 0.902
7 Na 0.000 0.803 0.305
8 Na 0.000 0.803 0.805
9 Na 0.495 0.302 0.055
10 Na 0.495 0.303 0.555
11 Na 0.495 0.499 0.250
12 Na 0.495 0.499 0.750
13 Na 0.495 0.694 0.456
14 Na 0.495 0.694 0.956
15 Na 0.495 0.890 0.152
16 Na 0.495 0.890 0.652
17 Fe 0.547 0.097 0.353
18 Fe 0.548 0.096 0.853
19 Fe 0.947 0.596 0.103
20 Fe 0.947 0.596 0.603
21 O 0.006 0.355 0.067
22 O 0.006 0.356 0.568
23 O 0.006 0.525 0.224
24 O 0.006 0.525 0.724
25 O 0.006 0.668 0.483
26 O 0.006 0.669 0.983
27 O 0.006 0.837 0.639
28 O 0.006 0.838 0.139
29 O 0.489 0.025 0.473
30 O 0.489 0.026 0.973
31 O 0.489 0.168 0.233
32 O 0.489 0.168 0.733
33 O 0.489 0.337 0.389
34 O 0.489 0.337 0.889
35 O 0.489 0.856 0.318
36 O 0.489 0.856 0.818
37 O 0.583 0.596 0.103
38 O 0.583 0.597 0.603
39 O 0.911 0.097 0.853
40 O 0.912 0.097 0.353

Values from the calculation:
Final energy (eV/atom): -4.762
Symmetry: P1 (1)
Energy above the lowest structure with this stoichiometry (meV per atom): 8
Energy of formation from the pure elements (kcal/mol of atoms): -34.2

=====

No. 3
A relaxed Li4V3P8O29 crystal. Source: the Materials Project database, functional PBE+U.

Lattice parameters (Å, degrees): 9.767 9.797 14.137 90.15 90.07 119.75
Fractional positions:
1 Li 0.000 0.000 0.000
2 Li 0.000 0.448 0.490
3 Li 0.128 0.590 0.999
4 Li 0.219 0.770 0.608
5 Li 0.592 0.593 0.493
6 Li 0.598 0.453 0.999
7 Li 0.675 0.358 0.610
8 Li 0.677 0.769 0.118
9 V 0.332 0.108 0.305
10 V 0.336 0.677 0.803
11 V 0.465 0.240 0.806
12 V 0.473 0.677 0.305
13 V 0.899 0.239 0.302
14 V 0.903 0.108 0.801
15 P 0.132 0.991 0.712
16 P 0.134 0.586 0.214
17 P 0.217 0.905 0.896
18 P 0.224 0.767 0.393
19 P 0.234 0.342 0.925
20 P 0.239 0.345 0.426
21 P 0.569 0.009 0.184
22 P 0.570 0.013 0.685
23 P 0.584 0.586 0.713
24 P 0.585 0.444 0.212
25 P 0.672 0.358 0.394
26 P 0.674 0.767 0.894
27 P 0.818 0.361 0.894
28 P 0.822 0.908 0.399
29 P 0.989 0.444 0.710
30 P 0.991 0.993 0.215
31 O 0.001 0.155 0.232
32 O 0.002 0.295 0.732
33 O 0.087 0.190 0.883
34 O 0.088 0.346 0.387
35 O 0.113 0.885 0.804
36 O 0.114 0.678 0.303
37 O 0.134 0.661 0.124
38 O 0.138 0.917 0.982
39 O 0.143 0.679 0.482
40 O 0.144 0.913 0.626
41 O 0.153 0.593 0.713
42 O 0.159 0.017 0.219
43 O 0.230 0.489 0.887
44 O 0.239 0.197 0.379
45 O 0.239 0.333 0.030
46 O 0.240 0.344 0.532
47 O 0.241 0.760 0.893
48 O 0.243 0.934 0.389
49 O 0.285 0.152 0.733
50 O 0.285 0.577 0.233
51 O 0.380 0.057 0.877
52 O 0.385 0.778 0.379
53 O 0.388 0.346 0.882
54 O 0.393 0.491 0.387
55 O 0.417 0.864 0.720
56 O 0.423 0.578 0.734
57 O 0.424 0.013 0.230
58 O 0.426 0.294 0.233
59 O 0.521 0.198 0.379
60 O 0.528 0.782 0.876
61 O 0.564 0.418 0.720
62 O 0.568 0.594 0.216
63 O 0.574 0.165 0.729
64 O 0.576 0.019 0.079
65 O 0.576 0.862 0.221
66 O 0.580 0.028 0.580
67 O 0.647 0.337 0.893
68 O 0.651 0.763 0.394
69 O 0.655 0.663 0.622
70 O 0.659 0.437 0.122
71 O 0.665 0.438 0.483
72 O 0.668 0.681 0.984
73 O 0.694 0.676 0.804
74 O 0.695 0.465 0.303
75 O 0.719 0.012 0.731
76 O 0.719 0.158 0.231
77 O 0.811 0.201 0.876
78 O 0.812 0.060 0.377
79 O 0.820 0.338 0.395
80 O 0.825 0.932 0.892
81 O 0.893 0.461 0.797
82 O 0.898 0.883 0.302
83 O 0.903 0.428 0.620
84 O 0.906 0.921 0.124
85 O 0.910 0.450 0.977
86 O 0.910 0.915 0.485
87 O 0.988 0.418 0.226
88 O 0.990 0.019 0.720

Values from the calculation:
Final energy (eV/atom): -7.037
Symmetry: P1 (1)
Energy above the lowest structure with this stoichiometry (meV per atom): 16
Energy of formation from the pure elements (kcal/mol of atoms): -59.2

=====

No. 4
A relaxed Cs4CdNi3F12 crystal. Source: the Materials Project database, functional PBE+U.

Lattice parameters (Å, degrees): 10.782 10.782 10.782 33.98 33.98 33.98
Fractional positions:
1 Cs 0.130 0.130 0.130
2 Cs 0.285 0.285 0.285
3 Cs 0.715 0.715 0.715
4 Cs 0.870 0.870 0.870
5 Cd 0.000 0.000 0.000
6 Ni 0.410 0.410 0.410
7 Ni 0.500 0.500 0.500
8 Ni 0.590 0.590 0.590
9 F 0.175 0.597 0.597
10 F 0.216 0.216 0.693
11 F 0.216 0.693 0.216
12 F 0.307 0.784 0.784
13 F 0.403 0.403 0.825
14 F 0.403 0.825 0.403
15 F 0.597 0.175 0.597
16 F 0.597 0.597 0.175
17 F 0.693 0.216 0.216
18 F 0.784 0.307 0.784
19 F 0.784 0.784 0.307
20 F 0.825 0.403 0.403

Values from the calculation:
Final energy (eV/atom): -4.218
Symmetry: R-3m (166)
Energy of formation from the pure elements (kcal/mol of atoms): -60.8

=====

No. 5
A relaxed Na3Ni5O10 crystal. Source: the Materials Project database, functional PBE+U.

Lattice parameters (Å, degrees): 6.395 9.242 7.640 106.49 110.08 97.14
Fractional positions:
1 Ni 0.297 0.302 0.098
2 O 0.095 0.919 0.786
3 Na 0.200 0.700 0.900
4 O 0.004 0.194 0.904
5 O 0.396 0.206 0.896
6 O 0.504 0.694 0.404
7 Na 0.597 0.100 0.696
8 Ni 0.200 0.200 0.400
9 O 0.301 0.132 0.187
10 O 0.199 0.006 0.500
11 Na 0.700 0.200 0.400
12 O 0.402 0.591 0.707
13 O 0.699 0.506 0.000
14 O 0.599 0.768 0.113
15 Na 0.803 0.300 0.104
16 O 0.498 0.309 0.593
17 O 0.896 0.706 0.396
18 O 0.595 0.419 0.286
19 Na 0.097 0.600 0.196
20 O 0.801 0.632 0.687
21 O 0.201 0.394 0.300
22 Ni 0.797 0.802 0.598
23 Ni 0.603 0.598 0.202
24 Ni 0.501 0.503 0.501
25 Ni 0.700 0.700 0.900
26 Ni 0.399 0.397 0.799
27 O 0.902 0.091 0.207
28 Ni 0.001 0.003 0.001
29 Ni 0.103 0.098 0.702
30 O 0.998 0.809 0.093
31 O 0.305 0.481 0.014
32 O 0.701 0.894 0.800
33 Ni 0.899 0.897 0.299
34 Na 0.303 0.800 0.604
35 O 0.099 0.268 0.613
36 O 0.805 0.981 0.514

Values from the calculation:
Final energy (eV/atom): -4.656
Energy of formation from the pure elements (kcal/mol of atoms): -26.9

=====

No. 6
A relaxed MgVP2O7 crystal. Source: the Materials Project database, functional PBE+U.

Lattice parameters (Å, degrees): 4.908 5.141 5.885 102.79 103.05 94.37
Fractional positions:
1 Mg 0.000 0.000 0.000
2 V 0.112 0.970 0.547
3 P 0.495 0.808 0.098
4 P 0.676 0.430 0.727
5 O 0.276 0.769 0.237
6 O 0.365 0.945 0.897
7 O 0.410 0.296 0.537
8 O 0.576 0.520 0.981
9 O 0.780 0.980 0.241
10 O 0.818 0.691 0.693
11 O 0.899 0.242 0.787

Values from the calculation:
Final energy (eV/atom): -7.179
Symmetry: P1 (1)
Energy above the lowest structure with this stoichiometry (meV per atom): 124
Energy of formation from the pure elements (kcal/mol of atoms): -61.5

=====

No. 7
A relaxed Ba4Y2Fe2O11 crystal. Source: the Materials Project database, functional PBE+U.

Lattice parameters (Å, degrees): 8.227 12.324 6.144 90.00 90.00 90.00
Fractional positions:
1 Ba 0.229 0.107 0.000
2 Ba 0.229 0.893 0.500
3 Ba 0.238 0.367 0.483
4 Ba 0.238 0.633 0.983
5 Ba 0.762 0.367 0.483
6 Ba 0.762 0.633 0.983
7 Ba 0.771 0.107 0.000
8 Ba 0.771 0.893 0.500
9 Y 0.000 0.374 0.981
10 Y 0.000 0.626 0.481
11 Y 0.500 0.125 0.500
12 Y 0.500 0.875 0.000
13 Fe 0.000 0.138 0.487
14 Fe 0.000 0.862 0.987
15 Fe 0.500 0.341 0.977
16 Fe 0.500 0.659 0.477
17 O 0.000 0.019 0.295
18 O 0.000 0.236 0.736
19 O 0.000 0.255 0.255
20 O 0.000 0.485 0.697
21 O 0.000 0.515 0.197
22 O 0.000 0.745 0.755
23 O 0.000 0.764 0.236
24 O 0.000 0.981 0.795
25 O 0.228 0.128 0.511
26 O 0.228 0.872 0.011
27 O 0.292 0.396 0.989
28 O 0.292 0.604 0.489
29 O 0.500 0.015 0.780
30 O 0.500 0.251 0.214
31 O 0.500 0.286 0.700
32 O 0.500 0.714 0.200
33 O 0.500 0.749 0.714
34 O 0.500 0.985 0.280
35 O 0.708 0.396 0.989
36 O 0.708 0.604 0.489
37 O 0.772 0.128 0.511
38 O 0.772 0.872 0.011

Values from the calculation:
Final energy (eV/atom): -7.010
Symmetry: Pmc2_1 (26)
Energy of formation from the pure elements (kcal/mol of atoms): -64.7

=====

No. 8
A relaxed Li9Mn2Co5O16 crystal. Source: the Materials Project database, functional PBE+U.

Lattice parameters (Å, degrees): 5.898 5.898 10.324 108.28 108.28 58.70
Fractional positions:
1 Li 0.000 0.000 0.000
2 Li 0.242 0.242 0.244
3 Li 0.244 0.752 0.751
4 Li 0.248 0.756 0.249
5 Li 0.251 0.251 0.754
6 Li 0.749 0.749 0.246
7 Li 0.752 0.244 0.751
8 Li 0.756 0.248 0.249
9 Li 0.758 0.758 0.756
10 Mn 0.000 0.500 0.000
11 Mn 0.500 0.000 0.000
12 Co 0.000 0.000 0.500
13 Co 0.000 0.500 0.500
14 Co 0.500 0.000 0.500
15 Co 0.500 0.500 0.000
16 Co 0.500 0.500 0.500
17 O 0.124 0.642 0.389
18 O 0.137 0.137 0.379
19 O 0.137 0.137 0.887
20 O 0.139 0.608 0.894
21 O 0.357 0.357 0.119
22 O 0.358 0.876 0.611
23 O 0.374 0.374 0.617
24 O 0.392 0.861 0.106
25 O 0.608 0.139 0.894
26 O 0.626 0.626 0.383
27 O 0.642 0.124 0.389
28 O 0.643 0.643 0.881
29 O 0.861 0.392 0.106
30 O 0.863 0.863 0.113
31 O 0.863 0.863 0.621
32 O 0.876 0.358 0.611

Values from the calculation:
Final energy (eV/atom): -5.841
Symmetry: C2/m (12)
Energy above the lowest structure with this stoichiometry (meV per atom): 14
Energy of formation from the pure elements (kcal/mol of atoms): -42.7